1.
## LiCuF4 (PBE)

Data for a relaxed LiCuF4 crystal.

Crystal system   monoclinic
Magnetic moment   0.333 μB per atom

Cell lengths 7.371, 4.999, 7.196 Å; angles 90.00, 101.15, 90.00 degrees
Space group P2_1/c (No. 14)
Inequivalent atoms, fractional coordinates:
Li 0.146 0.244 0.350
Cu 0.323 0.750 0.193
F 0.097 0.569 0.194
F 0.192 0.061 0.101
F 0.315 0.597 0.942
F 0.441 0.079 0.806


2.
## PdF2 (PBE)

Data for a relaxed PdF2 crystal.

Crystal system   cubic

Cell lengths 5.370, 5.370, 5.370 Å; angles 90.00, 90.00, 90.00 degrees
Space group Pa-3 (No. 205)
Inequivalent atoms, fractional coordinates:
Pd 0.000 0.000 0.000
F 0.157 0.657 0.843


3.
## Na10Y4Si7Ge4S5O48 (PBE)

Data for a relaxed Na10Y4Si7Ge4S5O48 crystal.

Crystal system   triclinic
Magnetic moment   0.000 μB per atom

Cell lengths 9.297, 15.732, 22.628 Å; angles 95.16, 90.04, 90.33 degrees
Space group P1 (No. 1)
Inequivalent atoms, fractional coordinates:
Na 0.000 0.000 0.000
Na 0.000 0.337 0.666
Na 0.125 0.505 0.500
Na 0.139 0.811 0.824
Na 0.142 0.147 0.491
Na 0.162 0.498 0.843
Na 0.291 0.660 0.414
Na 0.298 0.312 0.247
Na 0.304 0.964 0.586
Na 0.308 0.981 0.089
Na 0.309 0.651 0.918
Na 0.314 0.315 0.753
Na 0.452 0.162 0.674
Na 0.457 0.833 0.006
Na 0.458 0.496 0.336
Na 0.489 0.147 0.991
Na 0.489 0.811 0.320
Na 0.501 0.505 0.003
Na 0.623 0.009 0.500
Na 0.639 0.651 0.489
Na 0.640 0.314 0.825
Na 0.789 0.159 0.418
Na 0.789 0.475 0.584
Na 0.798 0.813 0.247
Na 0.804 0.814 0.756
Na 0.814 0.148 0.913
Na 0.833 0.474 0.084
Na 0.958 0.997 0.336
Na 0.988 0.979 0.659
Na 0.991 0.310 0.321
Y 0.302 0.332 0.106
Y 0.308 0.988 0.435
Y 0.310 0.656 0.767
Y 0.317 0.991 0.931
Y 0.318 0.654 0.265
Y 0.327 0.333 0.604
Y 0.802 0.832 0.103
Y 0.810 0.488 0.434
Y 0.812 0.153 0.770
Y 0.816 0.154 0.265
Y 0.821 0.823 0.603
Y 0.822 0.498 0.939
Si 0.008 0.989 0.837
Si 0.014 0.324 0.503
Si 0.110 0.823 0.999
Si 0.114 0.157 0.665
Si 0.115 0.490 0.337
Si 0.182 0.477 0.001
Si 0.183 0.811 0.671
Si 0.186 0.141 0.334
Si 0.438 0.145 0.835
Si 0.441 0.811 0.171
Si 0.446 0.478 0.499
Si 0.510 0.490 0.838
Si 0.514 0.823 0.500
Si 0.612 0.323 0.001
Si 0.615 0.991 0.337
Si 0.681 0.975 0.000
Si 0.686 0.307 0.671
Si 0.687 0.642 0.334
Si 0.939 0.641 0.831
Si 0.943 0.312 0.172
Si 0.943 0.976 0.503
Ge 0.265 0.003 0.732
Ge 0.268 0.335 0.396
Ge 0.271 0.673 0.060
Ge 0.333 0.674 0.558
Ge 0.358 0.998 0.232
Ge 0.363 0.336 0.896
Ge 0.764 0.835 0.395
Ge 0.772 0.493 0.737
Ge 0.806 0.175 0.055
Ge 0.851 0.495 0.234
Ge 0.860 0.835 0.894
Ge 0.864 0.171 0.562
S 0.015 0.650 0.164
S 0.138 0.511 0.661
S 0.143 0.179 0.000
S 0.146 0.845 0.327
S 0.476 0.182 0.498
S 0.483 0.846 0.830
S 0.493 0.509 0.164
S 0.514 0.150 0.162
S 0.608 0.648 0.661
S 0.643 0.010 0.659
S 0.645 0.344 0.328
S 0.645 0.682 0.998
S 0.972 0.349 0.827
S 0.983 0.679 0.497
S 0.989 0.009 0.163
O 0.005 0.473 0.279
O 0.015 0.831 0.661
O 0.017 0.159 0.321
O 0.017 0.499 0.993
O 0.025 0.811 0.932
O 0.026 0.140 0.599
O 0.029 0.498 0.399
O 0.101 0.992 0.896
O 0.105 0.638 0.107
O 0.106 0.662 0.216
O 0.109 0.998 0.491
O 0.110 0.661 0.820
O 0.111 0.977 0.775
O 0.113 0.325 0.166
O 0.113 0.328 0.561
O 0.114 0.309 0.440
O 0.131 0.348 0.827
O 0.144 0.669 0.499
O 0.148 0.009 0.163
O 0.176 0.224 0.948
O 0.187 0.556 0.718
O 0.192 0.552 0.609
O 0.193 0.897 0.280
O 0.194 0.087 0.391
O 0.195 0.220 0.057
O 0.199 0.064 0.671
O 0.200 0.423 0.665
O 0.200 0.756 0.322
O 0.201 0.394 0.335
O 0.203 0.732 0.002
O 0.204 0.091 0.997
O 0.206 0.880 0.386
O 0.212 0.761 0.729
O 0.214 0.422 0.055
O 0.229 0.900 0.999
O 0.231 0.233 0.665
O 0.235 0.564 0.331
O 0.260 0.754 0.609
O 0.266 0.908 0.678
O 0.267 0.083 0.275
O 0.268 0.238 0.343
O 0.270 0.428 0.938
O 0.276 0.573 0.013
O 0.347 0.240 0.843
O 0.352 0.573 0.510
O 0.358 0.429 0.437
O 0.360 0.754 0.109
O 0.360 0.909 0.176
O 0.365 0.089 0.773
O 0.389 0.563 0.832
O 0.402 0.765 0.229
O 0.404 0.095 0.495
O 0.411 0.221 0.163
O 0.413 0.906 0.500
O 0.417 0.097 0.894
O 0.417 0.758 0.825
O 0.420 0.731 0.501
O 0.423 0.395 0.835
O 0.423 0.424 0.554
O 0.427 0.219 0.556
O 0.428 0.230 0.448
O 0.429 0.066 0.167
O 0.430 0.898 0.784
O 0.432 0.880 0.891
O 0.434 0.420 0.166
O 0.438 0.551 0.113
O 0.441 0.552 0.221
O 0.482 0.681 0.997
O 0.484 0.008 0.661
O 0.485 0.346 0.329
O 0.498 0.322 0.054
O 0.506 0.972 0.278
O 0.513 0.660 0.712
O 0.514 0.999 0.989
O 0.517 0.317 0.660
O 0.517 0.660 0.321
O 0.519 0.306 0.936
O 0.523 0.641 0.603
O 0.527 0.998 0.399
O 0.595 0.139 0.105
O 0.603 0.497 0.897
O 0.604 0.806 0.435
O 0.605 0.168 0.824
O 0.608 0.160 0.214
O 0.611 0.504 0.490
O 0.611 0.824 0.163
O 0.614 0.471 0.777
O 0.627 0.825 0.553
O 0.633 0.170 0.497
O 0.641 0.840 0.830
O 0.652 0.509 0.163
O 0.685 0.913 0.052
O 0.687 0.053 0.607
O 0.688 0.566 0.663
O 0.692 0.397 0.280
O 0.693 0.729 0.947
O 0.695 0.721 0.056
O 0.696 0.588 0.391
O 0.697 0.593 0.996
O 0.699 0.256 0.322
O 0.700 0.056 0.714
O 0.702 0.895 0.335
O 0.705 0.380 0.386
O 0.706 0.230 0.001
O 0.707 0.923 0.661
O 0.709 0.260 0.729
O 0.711 0.721 0.662
O 0.712 0.406 0.001
O 0.735 0.064 0.331
O 0.767 0.406 0.677
O 0.768 0.584 0.275
O 0.771 0.738 0.343
O 0.772 0.069 0.013
O 0.778 0.925 0.941
O 0.783 0.255 0.612
O 0.852 0.071 0.509
O 0.854 0.922 0.442
O 0.855 0.735 0.843
O 0.857 0.587 0.769
O 0.862 0.409 0.176
O 0.863 0.254 0.111
O 0.898 0.067 0.834
O 0.902 0.267 0.231
O 0.910 0.263 0.826
O 0.912 0.406 0.501
O 0.915 0.393 0.882
O 0.915 0.593 0.495
O 0.917 0.723 0.161
O 0.919 0.927 0.561
O 0.924 0.230 0.501
O 0.925 0.893 0.833
O 0.928 0.396 0.774
O 0.929 0.921 0.165
O 0.932 0.568 0.166
O 0.933 0.577 0.882
O 0.934 0.719 0.554
O 0.936 0.051 0.111
O 0.939 0.054 0.220
O 0.944 0.726 0.446
O 0.978 0.169 0.003
O 0.980 0.504 0.659
O 0.986 0.846 0.329
O 0.998 0.172 0.716
O 0.999 0.837 0.052


4.
## Cd10As6HClO25 (PBE)

Data for a relaxed Cd10As6HClO25 crystal.

Crystal system   monoclinic
Magnetic moment   0.000 μB per atom

Cell lengths 10.123, 6.690, 17.529 Å; angles 90.00, 90.01, 90.00 degrees
Space group P2_1 (No. 4)
Inequivalent atoms, fractional coordinates:
Cd 0.002 0.000 0.166
Cd 0.002 0.499 0.166
Cd 0.110 0.750 0.637
Cd 0.148 0.750 0.375
Cd 0.256 0.746 0.988
Cd 0.259 0.250 0.513
Cd 0.359 0.246 0.114
Cd 0.397 0.246 0.873
Cd 0.498 0.500 0.667
Cd 0.498 0.999 0.667
As 0.112 0.248 0.011
As 0.178 0.250 0.298
As 0.214 0.250 0.690
As 0.291 0.748 0.813
As 0.325 0.748 0.198
As 0.388 0.750 0.488
H 0.500 0.407 0.000
Cl 0.000 0.250 0.500
O 0.030 0.749 0.932
O 0.076 0.249 0.916
O 0.084 0.048 0.327
O 0.084 0.452 0.327
O 0.087 0.250 0.754
O 0.134 0.749 0.771
O 0.163 0.749 0.170
O 0.166 0.249 0.198
O 0.205 0.046 0.042
O 0.205 0.449 0.042
O 0.218 0.047 0.629
O 0.218 0.452 0.629
O 0.291 0.546 0.875
O 0.291 0.949 0.876
O 0.299 0.547 0.455
O 0.299 0.952 0.455
O 0.338 0.250 0.329
O 0.339 0.749 0.298
O 0.369 0.249 0.734
O 0.412 0.749 0.746
O 0.416 0.546 0.167
O 0.417 0.949 0.167
O 0.425 0.750 0.582
O 0.469 0.250 0.569
O 0.500 0.260 0.000


5.
## CaIn2Te4 (PBE)

Data for a relaxed CaIn2Te4 crystal.

Crystal system   tetragonal
Magnetic moment   0.000 μB per atom
Piezoelectric modulus e_max   0.04 C/m²

Cell lengths 8.285, 8.285, 7.120 Å; angles 90.00, 90.00, 90.00 degrees
Space group I422 (No. 97)
Inequivalent atoms, fractional coordinates:
Ca 0.000 0.000 0.000
In 0.000 0.500 0.000
Te 0.189 0.311 0.250


6.
## LiSnP4O12 (PBE)

Data for a relaxed LiSnP4O12 crystal.

ΔE to the lowest computed polymorph   0.66 eV/f.u.
Crystal system   monoclinic
Magnetic moment   0.056 μB per atom

Cell lengths 5.410, 14.211, 7.399 Å; angles 90.00, 95.23, 90.00 degrees
Space group P2_1 (No. 4)
Inequivalent atoms, fractional coordinates:
Li 0.144 0.000 0.099
Sn 0.017 0.230 0.508
P 0.282 0.810 0.891
P 0.373 0.165 0.905
P 0.463 0.589 0.444
P 0.499 0.876 0.551
O 0.113 0.739 0.787
O 0.138 0.199 0.798
O 0.166 0.890 0.980
O 0.201 0.590 0.500
O 0.234 0.366 0.492
O 0.302 0.826 0.428
O 0.347 0.100 0.060
O 0.350 0.151 0.449
O 0.422 0.985 0.542
O 0.447 0.613 0.231
O 0.463 0.756 0.041
O 0.487 0.849 0.760


7.
## ThGeI6 (PBE)

Data for a relaxed ThGeI6 crystal.

Crystal system   trigonal
Magnetic moment   0.000 μB per atom

Cell lengths 7.5785, 7.5785, 13.9969 Å; angles 90.00, 90.00, 120.00 degrees
Space group P-31c (No. 163)
Inequivalent atoms, fractional coordinates:
Th 0.0000 0.0000 0.0000
Ge 0.3333 0.6667 0.2500
I 0.0027 0.3357 0.3740


Electronic total energy / eV per atom: -4.15; -4.05; -6.67; -5.08; -3.49; -6.84; -3.49
Energy of formation / meV/atom: -2183; -1359; -2558; -1619; -865; -2465; -1128